Density functional theory data (PBE) for crystalline Cs2RbTlBr6 at its relaxed geometry.

Geometry as POSCAR:
```
Cs2RbTlBr6
1.0
0.373 -5.960 6.139
-0.232 2.320 8.241
-6.928 -1.709 4.736
Cs Rb Tl Br
2 1 1 6
Direct
0.750 0.750 0.750
0.250 0.250 0.250
0.500 0.500 0.500
0.000 0.000 0.000
0.770 0.230 0.230
0.230 0.230 0.770
0.230 0.770 0.770
0.230 0.770 0.230
0.770 0.230 0.770
0.770 0.770 0.230
```

Results
Crystal system ... cubic
Volume ... 44.4 Å³/atom

---

Density functional theory data (PBE) for crystalline RuN6Cl3 at its relaxed geometry.

Geometry as POSCAR:
```
RuN6Cl3
1.0
10.702 5.927 0.000
-10.702 5.927 0.000
0.000 4.916 12.095
Ru N Cl
6 36 18
Direct
0.624 0.376 0.000
0.376 0.624 0.000
0.877 0.123 0.500
0.123 0.877 0.500
0.000 0.000 0.000
0.500 0.500 0.500
0.233 0.818 0.352
0.767 0.182 0.648
0.182 0.767 0.648
0.818 0.233 0.352
0.381 0.381 0.424
0.619 0.619 0.576
0.598 0.402 0.500
0.402 0.598 0.500
0.590 0.455 0.109
0.410 0.545 0.891
0.545 0.410 0.891
0.455 0.590 0.109
0.701 0.915 0.056
0.299 0.085 0.944
0.085 0.299 0.944
0.915 0.701 0.056
0.806 0.941 0.038
0.194 0.059 0.962
0.059 0.194 0.962
0.941 0.806 0.038
0.986 0.986 0.159
0.014 0.014 0.841
0.805 0.965 0.590
0.195 0.035 0.410
0.035 0.195 0.410
0.965 0.805 0.590
0.617 0.617 0.363
0.383 0.383 0.637
0.541 0.204 0.057
0.459 0.796 0.943
0.796 0.459 0.943
0.204 0.541 0.057
0.764 0.107 0.393
0.236 0.893 0.607
0.893 0.236 0.607
0.107 0.764 0.393
0.742 0.002 0.309
0.258 0.998 0.691
0.998 0.258 0.691
0.002 0.742 0.309
0.528 0.528 0.152
0.472 0.472 0.848
0.324 0.912 0.212
0.676 0.088 0.788
0.088 0.676 0.788
0.912 0.324 0.212
0.621 0.339 0.400
0.379 0.661 0.600
0.661 0.379 0.600
0.339 0.621 0.400
0.890 0.890 0.810
0.110 0.110 0.190
0.763 0.763 0.508
0.237 0.237 0.492
```

Results
Crystal system ... monoclinic
Volume ... 25.6 Å³/atom

---

Density functional theory data (PBE) for crystalline La2UO6 at its relaxed geometry.

Geometry as POSCAR:
```
La2UO6
1.0
6.066 -0.308 2.840
0.720 -3.619 5.598
-1.811 -0.107 -6.455
La U O
2 1 6
Direct
0.664 0.664 0.000
0.336 0.336 0.000
0.000 0.000 0.000
0.916 0.149 0.767
0.778 0.500 0.278
0.382 0.149 0.233
0.618 0.851 0.767
0.222 0.500 0.722
0.084 0.851 0.233
```

Results
Crystal system ... orthorhombic
Volume ... 14.2 Å³/atom

---

Density functional theory data (PBE) for crystalline Y2Th8O19 at its relaxed geometry.

Geometry as POSCAR:
```
Y2Th8O19
1.0
2.798 2.798 0.000
-2.798 2.798 0.000
0.000 0.028 27.940
Y Th O
2 8 19
Direct
0.501 0.991 0.444
0.009 0.499 0.556
0.503 0.997 0.648
0.000 0.497 0.749
0.499 0.999 0.850
0.999 0.500 0.950
0.500 0.001 0.050
0.001 0.501 0.150
0.503 0.000 0.251
0.003 0.497 0.352
0.001 0.997 0.696
0.500 0.498 0.800
0.999 0.000 0.900
0.499 0.501 0.000
0.000 0.001 0.100
0.502 0.500 0.200
0.003 0.999 0.304
0.501 0.495 0.397
0.502 0.500 0.299
0.001 0.995 0.409
0.497 0.503 0.500
0.505 0.499 0.603
0.005 0.999 0.591
0.500 0.498 0.701
0.000 0.997 0.799
0.499 0.499 0.900
0.999 0.001 0.000
0.501 0.501 0.100
0.003 0.000 0.201
```

Results
Energy relative to the lowest polymorph listed for this composition ... 0.0001 eV per atom
Crystal system ... monoclinic
Volume ... 15.1 Å³/atom

---

Density functional theory data (PBE) for crystalline EuP2Ir2 at its relaxed geometry.

Geometry as POSCAR:
```
EuP2Ir2
1.0
3.362 -5.824 0.000
3.362 5.824 0.000
0.000 0.000 7.119
Eu P Ir
3 6 6
Direct
0.396 0.396 0.500
0.604 0.000 0.167
0.000 0.604 0.833
0.882 0.222 0.544
0.222 0.882 0.456
0.118 0.340 0.123
0.778 0.660 0.210
0.340 0.118 0.877
0.660 0.778 0.790
0.869 0.869 0.500
0.131 0.000 0.167
0.487 0.487 0.000
0.000 0.513 0.333
0.513 0.000 0.667
0.000 0.131 0.833
```

Results
Crystal system ... trigonal
Volume ... 18.6 Å³/atom

---

Density functional theory data (PBE) for crystalline BeAuO3 at its relaxed geometry.

Geometry as POSCAR:
```
BeAuO3
1.0
-2.638 -1.958 1.399
-0.035 -2.044 -2.928
2.406 -2.177 1.491
Be Au O
1 1 3
Direct
0.500 0.500 0.500
0.000 0.000 0.000
0.500 0.500 0.000
0.500 0.000 0.500
0.000 0.500 0.500
```

Results
Crystal system ... cubic
Volume ... 9.1 Å³/atom

---

no.,E (eV per atom),ΔH_f (0 K) (kcal/mol of atoms)
1,-2.77,-36.72
2,-5.48,18.94
3,-9.08,-89.76
4,-9.54,-98.19
5,-8.71,-22.06
6,-4.59,-14.48